Entry 1:
# SrCaZn2

A geometry-optimized SrCaZn2 structure (r²SCAN, Materials Project).

Unit cell a=4.461 b=6.146 c=8.493 alpha=90.00 beta=90.00 gamma=90.00
Fractional positions:
Zn1 0.500 0.143 0.973
Zn2 0.000 0.329 0.022
Zn3 0.000 0.671 0.522
Zn4 0.500 0.857 0.473
Sr1 0.500 0.363 0.324
Sr2 0.500 0.637 0.824
Ca1 0.000 0.133 0.682
Ca2 0.000 0.867 0.182

For the formation energy, the calculation gives -210 meV per atom.

Entry 2:
# CaY2Te4

A geometry-optimized CaY2Te4 structure (r²SCAN, Materials Project).

Unit cell a=4.416 b=7.553 c=7.722 alpha=71.99 beta=90.00 gamma=90.00
Fractional positions:
Ca1 0.000 0.500 0.500
Te1 0.000 0.745 0.762
Te2 0.500 0.760 0.245
Te3 0.500 0.240 0.755
Te4 0.000 0.255 0.238
Y1 0.500 0.500 0.000
Y2 0.000 0.000 0.000

For the formation energy, the calculation gives -1749 meV per atom.

What did the second record say?
# CaY2Te4

A geometry-optimized CaY2Te4 structure (r²SCAN, Materials Project).

Unit cell a=4.416 b=7.553 c=7.722 alpha=71.99 beta=90.00 gamma=90.00
Fractional positions:
Ca1 0.000 0.500 0.500
Te1 0.000 0.745 0.762
Te2 0.500 0.760 0.245
Te3 0.500 0.240 0.755
Te4 0.000 0.255 0.238
Y1 0.500 0.500 0.000
Y2 0.000 0.000 0.000

For the formation energy, the calculation gives -1749 meV per atom.